Entry 1:
A plane-wave DFT calculation with PBE+U was carried out for crystalline V2O3 at its relaxed geometry.

a b c (Å): 6.0000 6.0000 17.9717
angles (deg): 90.00 90.00 120.00
Space group R-3c (No. 167, hexagonal axes)
Symmetry-distinct sites (fractional):
V  0.0000  0.0000  0.0779
O  0.0000  0.4119  0.2500

Calculated values
Energy relative to the elements   -1.800 eV/atom
Energy   -7.310 eV per atom
Calculated volume   18.68 A^3/atom

***

Entry 2:
A plane-wave DFT calculation with PBE+U was carried out for crystalline V2O5 at its relaxed geometry.

a b c (Å): 11.791 11.814 12.112
angles (deg): 89.23 86.95 84.38
Space group P1 (No. 1)
Symmetry-distinct sites (fractional):
V  0.000  0.000  0.000
V  0.002  0.362  0.656
V  0.098  0.270  0.057
V  0.119  0.694  0.307
V  0.167  0.568  0.653
V  0.212  0.977  0.355
V  0.238  0.784  0.054
V  0.293  0.175  0.867
V  0.295  0.798  0.556
V  0.314  0.307  0.228
V  0.320  0.992  0.673
V  0.330  0.206  0.485
V  0.349  0.549  0.450
V  0.366  0.525  0.030
V  0.438  0.948  0.921
V  0.480  0.844  0.331
V  0.544  0.089  0.178
V  0.579  0.277  0.616
V  0.611  0.453  0.297
V  0.649  0.570  0.010
V  0.665  0.528  0.731
V  0.720  0.849  0.997
V  0.734  0.845  0.454
V  0.755  0.106  0.579
V  0.801  0.976  0.205
V  0.833  0.421  0.109
V  0.842  0.575  0.354
V  0.846  0.610  0.617
V  0.856  0.877  0.717
V  0.959  0.133  0.354
O  0.020  0.532  0.649
O  0.038  0.144  0.044
O  0.050  0.311  0.773
O  0.083  0.052  0.405
O  0.105  0.718  0.149
O  0.107  0.305  0.543
O  0.113  0.901  0.024
O  0.141  0.830  0.354
O  0.154  0.605  0.183
O  0.182  0.709  0.604
O  0.187  0.262  0.174
O  0.195  0.282  0.944
O  0.204  0.237  0.577
O  0.207  0.554  0.777
O  0.216  0.947  0.590
O  0.220  0.002  0.224
O  0.234  0.080  0.776
O  0.237  0.604  0.374
O  0.269  0.638  0.989
O  0.278  0.483  0.566
O  0.298  0.327  0.369
O  0.303  0.093  0.397
O  0.316  0.794  0.160
O  0.337  0.433  0.162
O  0.341  0.862  0.408
O  0.344  0.850  0.939
O  0.354  0.080  0.970
O  0.387  0.838  0.652
O  0.388  0.082  0.591
O  0.390  0.435  0.931
O  0.393  0.236  0.801
O  0.399  0.663  0.508
O  0.435  0.208  0.205
O  0.448  0.975  0.784
O  0.453  0.279  0.545
O  0.470  0.491  0.368
O  0.488  0.963  0.238
O  0.494  0.581  0.055
O  0.511  0.722  0.273
O  0.561  0.083  0.044
O  0.579  0.882  0.956
O  0.583  0.850  0.435
O  0.599  0.405  0.691
O  0.606  0.588  0.848
O  0.618  0.316  0.294
O  0.631  0.154  0.686
O  0.673  0.496  0.165
O  0.678  0.625  0.622
O  0.683  0.091  0.226
O  0.684  0.254  0.516
O  0.695  0.996  0.525
O  0.696  0.885  0.140
O  0.724  0.486  0.379
O  0.728  0.705  0.010
O  0.764  0.703  0.372
O  0.773  0.455  0.981
O  0.788  0.862  0.850
O  0.806  0.294  0.142
O  0.813  0.906  0.343
O  0.815  0.785  0.596
O  0.816  0.522  0.743
O  0.844  0.026  0.675
O  0.861  0.125  0.471
O  0.864  0.946  0.054
O  0.876  0.524  0.221
O  0.879  0.311  0.635
O  0.883  0.534  0.497
O  0.920  0.065  0.234
O  0.970  0.622  0.000
O  0.985  0.263  0.323
O  0.987  0.011  0.868
O  0.987  0.826  0.725
O  0.991  0.646  0.902
O  0.991  0.654  0.356
O  0.995  0.383  0.063

Calculated values
Energy relative to the elements   -1.760 eV/atom
Energy   -7.289 eV per atom
Calculated volume   15.97 A^3/atom